Entry from Materials Project: crystalline CaCuSb2O7 at its relaxed geometry (PBE).

a b c (Å): 9.2149 10.5116 10.8503
angles (deg): 86.01 90.00 90.00
Sites, in units of the cell vectors:
Ca: 0.4489 0.8328 0.5742
Ca: 0.9437 0.5000 0.7500
Ca: 0.4489 0.1672 0.9258
Ca: 0.0563 0.5000 0.2500
Ca: 0.5511 0.1672 0.4258
Ca: 0.5511 0.8328 0.0742
Cu: 0.9293 0.1985 0.4099
Cu: 0.0707 0.8015 0.5901
Cu: 0.4325 0.5000 0.2500
Cu: 0.9293 0.8015 0.0901
Cu: 0.5675 0.5000 0.7500
Cu: 0.0707 0.1985 0.9099
Sb: 0.2025 0.8297 0.2934
Sb: 0.7566 0.8428 0.3809
Sb: 0.2434 0.8428 0.8809
Sb: 0.7975 0.8297 0.7934
Sb: 0.2941 0.5156 0.9616
Sb: 0.7566 0.1572 0.1191
Sb: 0.7059 0.5156 0.4616
Sb: 0.2434 0.1572 0.6191
Sb: 0.2941 0.4844 0.5384
Sb: 0.7059 0.4844 0.0384
Sb: 0.7975 0.1703 0.7066
Sb: 0.2025 0.1703 0.2066
O: 0.7739 0.7975 0.9686
O: 0.7688 0.1648 0.2944
O: 0.8760 0.0000 0.7500
O: 0.8908 0.4873 0.1045
O: 0.3911 0.0497 0.5666
O: 0.9380 0.7290 0.7142
O: 0.3590 0.6934 0.9424
O: 0.1092 0.4873 0.6045
O: 0.7237 0.5265 0.8650
O: 0.3911 0.9503 0.9334
O: 0.7237 0.4735 0.6350
O: 0.4402 0.4235 0.8799
O: 0.9400 0.1425 0.0429
O: 0.0620 0.7290 0.2142
O: 0.6410 0.3066 0.0576
O: 0.3590 0.3066 0.5576
O: 0.9380 0.2710 0.7858
O: 0.6089 0.9503 0.4334
O: 0.2261 0.7975 0.4686
O: 0.5598 0.5765 0.1201
O: 0.3871 0.1872 0.2735
O: 0.2763 0.4735 0.1350
O: 0.0600 0.1425 0.5429
O: 0.2763 0.5265 0.3650
O: 0.8908 0.5127 0.3955
O: 0.5598 0.4235 0.3799
O: 0.1092 0.5127 0.8955
O: 0.6129 0.1872 0.7735
O: 0.6129 0.8128 0.7265
O: 0.0600 0.8575 0.9571
O: 0.0620 0.2710 0.2858
O: 0.7739 0.2025 0.5314
O: 0.1240 0.0000 0.2500
O: 0.2312 0.1648 0.7944
O: 0.6089 0.0497 0.0666
O: 0.9400 0.8575 0.4571
O: 0.2261 0.2025 0.0314
O: 0.7688 0.8352 0.2056
O: 0.4402 0.5765 0.6201
O: 0.6410 0.6934 0.4424
O: 0.2312 0.8352 0.7056
O: 0.3871 0.8128 0.2265

Output
**Total moment**: 1.97 μB/cell



Entry from Materials Project: crystalline Rb2NaBiI6 at its relaxed geometry (PBE).

a b c (Å): 8.7988 8.7988 8.7988
angles (deg): 60.00 60.00 60.00
Sites, in units of the cell vectors:
Rb: 0.7500 0.7500 0.7500
Rb: 0.2500 0.2500 0.2500
Na: 0.5000 0.5000 0.5000
Bi: 0.0000 0.0000 0.0000
I: 0.7526 0.2474 0.2474
I: 0.2474 0.2474 0.7526
I: 0.2474 0.7526 0.7526
I: 0.2474 0.7526 0.2474
I: 0.7526 0.2474 0.7526
I: 0.7526 0.7526 0.2474

Output
**Total moment**: 0.01 μB/cell



Entry from Materials Project: crystalline SrWN3 at its relaxed geometry (PBE).

a b c (Å): 3.6944 6.4031 6.7244
angles (deg): 110.44 96.78 90.93
Sites, in units of the cell vectors:
Sr: 0.0340 0.9172 0.3607
Sr: 0.9633 0.3867 0.8924
W: 0.5228 0.4171 0.3659
W: 0.4430 0.8953 0.8715
N: 0.0369 0.4874 0.3133
N: 0.6178 0.7573 0.5733
N: 0.4827 0.7211 0.0329
N: 0.9169 0.8733 0.7362
N: 0.5418 0.2452 0.5284
N: 0.4892 0.1945 0.0557

Output
**Maximum piezoelectric response**: 1.710 C/m2



Entry from Materials Project: crystalline MgSi at its relaxed geometry (PBE).

a b c (Å): 5.4899 5.4899 9.6925
angles (deg): 74.28 74.28 49.44
Sites, in units of the cell vectors:
Mg: 0.3747 0.3747 0.1250
Mg: 0.8836 0.8836 0.6368
Mg: 0.8203 0.8203 0.3452
Mg: 0.1164 0.1164 0.3632
Mg: 0.1797 0.1797 0.6548
Mg: 0.6253 0.6253 0.8750
Si: 0.6683 0.6683 0.1525
Si: 0.5669 0.5669 0.5924
Si: 0.3317 0.3317 0.8475
Si: 0.9093 0.9093 0.9302
Si: 0.0907 0.0907 0.0698
Si: 0.4331 0.4331 0.4076

Output
**Total moment**: 0.00 μB/cell



Entry from Materials Project: crystalline HoTc2 at its relaxed geometry (PBE).

a b c (Å): 5.3587 5.3587 8.8792
angles (deg): 90.00 90.00 120.00
Sites, in units of the cell vectors:
Ho: 0.3333 0.6667 0.4364
Ho: 0.6667 0.3333 0.5636
Ho: 0.6667 0.3333 0.9364
Ho: 0.3333 0.6667 0.0636
Tc: 0.0000 0.0000 0.5000
Tc: 0.0000 0.0000 0.0000
Tc: 0.8281 0.1719 0.2500
Tc: 0.8281 0.6562 0.2500
Tc: 0.3438 0.1719 0.2500
Tc: 0.1719 0.8281 0.7500
Tc: 0.1719 0.3438 0.7500
Tc: 0.6562 0.8281 0.7500



Entry from Materials Project: crystalline LaGa3Pt at its relaxed geometry (PBE).

a b c (Å): 6.1506 6.1506 6.1506
angles (deg): 138.58 138.58 60.02
Sites, in units of the cell vectors:
La: 0.0000 0.0000 0.0000
Ga: 0.6189 0.6189 0.0000
Ga: 0.3811 0.3811 0.0000
Ga: 0.7500 0.2500 0.5000
Pt: 0.2500 0.7500 0.5000



Entry from Materials Project: crystalline SrIn3Hg at its relaxed geometry (PBE).

a b c (Å): 7.1347 7.1347 7.1347
angles (deg): 140.37 140.37 57.29
Sites, in units of the cell vectors:
Sr: 0.0010 0.0010 0.0000
In: 0.7491 0.2491 0.5000
In: 0.2491 0.7491 0.5000
In: 0.3900 0.3900 0.0000
Hg: 0.6109 0.6109 0.0000



Entry from Materials Project: crystalline ScP2H5O9 at its relaxed geometry (PBE).

a b c (Å): 8.6514 5.3596 14.8972
angles (deg): 83.28 90.00 90.00
Sites, in units of the cell vectors:
Sc: 0.5336 0.7324 0.1482
Sc: 0.4664 0.2676 0.8518
Sc: 0.0336 0.2676 0.3518
Sc: 0.9664 0.7324 0.6482
P: 0.8295 0.7333 0.4441
P: 0.1705 0.2667 0.5559
P: 0.3295 0.2667 0.0559
P: 0.6705 0.7333 0.9441
P: 0.2519 0.7915 0.3061
P: 0.7481 0.2085 0.6939
P: 0.7519 0.2085 0.1939
P: 0.2481 0.7915 0.8061
H: 0.4467 0.9018 0.5979
H: 0.5533 0.0982 0.4021
H: 0.9467 0.0982 0.9021
H: 0.0533 0.9018 0.0979
H: 0.7109 0.2416 0.0466
H: 0.2891 0.7584 0.9534
H: 0.2109 0.7584 0.4534
H: 0.7891 0.2416 0.5466
H: 0.4853 0.6682 0.6759
H: 0.5147 0.3318 0.3241
H: 0.9853 0.3318 0.8241
H: 0.0147 0.6682 0.1759
H: 0.6808 0.8447 0.3260
H: 0.3192 0.1553 0.6740
H: 0.1808 0.1553 0.1740
H: 0.8192 0.8447 0.8260
H: 0.8833 0.7411 0.0881
H: 0.1167 0.2589 0.9119
H: 0.3833 0.2589 0.4119
H: 0.6167 0.7411 0.5881
O: 0.7015 0.9326 0.2207
O: 0.2985 0.0674 0.7793
O: 0.2015 0.0674 0.2793
O: 0.7985 0.9326 0.7207
O: 0.7976 0.2400 0.0896
O: 0.2024 0.7600 0.9104
O: 0.2976 0.7600 0.4104
O: 0.7024 0.2400 0.5896
O: 0.9973 0.7366 0.1107
O: 0.0027 0.2634 0.8893
O: 0.4973 0.2634 0.3893
O: 0.5027 0.7366 0.6107
O: 0.8710 0.4663 0.4243
O: 0.1290 0.5337 0.5757
O: 0.3710 0.5337 0.0757
O: 0.6290 0.4663 0.9243
O: 0.6701 0.8252 0.3948
O: 0.3299 0.1748 0.6052
O: 0.1701 0.1748 0.1052
O: 0.8299 0.8252 0.8948
O: 0.6236 0.3922 0.2154
O: 0.3764 0.6078 0.7846
O: 0.1236 0.6078 0.2846
O: 0.8764 0.3922 0.7154
O: 0.9560 0.9219 0.4113
O: 0.0440 0.0781 0.5887
O: 0.4560 0.0781 0.0887
O: 0.5440 0.9219 0.9113
O: 0.4029 0.7312 0.2607
O: 0.5971 0.2688 0.7393
O: 0.9029 0.2688 0.2393
O: 0.0971 0.7312 0.7607
O: 0.7096 0.7414 0.0454
O: 0.2904 0.2586 0.9546
O: 0.2096 0.2586 0.4546
O: 0.7904 0.7414 0.5454

Output
**Total moment**: 0.00 μB/cell



Entry from Materials Project: crystalline Rb3Ag at its relaxed geometry (PBE).

a b c (Å): 6.1361 6.1361 6.1361
angles (deg): 90.00 90.00 90.00
Sites, in units of the cell vectors:
Rb: 0.0000 0.5000 0.5000
Rb: 0.5000 0.0000 0.5000
Rb: 0.5000 0.5000 0.0000
Ag: 0.0000 0.0000 0.0000

Output
**Total moment**: 0.02 μB/cell



Entry from Materials Project: crystalline LiSbF6 at its relaxed geometry (PBE).

a b c (Å): 5.5420 5.5420 5.5420
angles (deg): 57.36 57.36 57.36
Sites, in units of the cell vectors:
Li: 0.5000 0.5000 0.5000
Sb: 0.0000 0.0000 0.0000
F: 0.8614 0.6591 0.2394
F: 0.2394 0.8614 0.6591
F: 0.3409 0.7606 0.1386
F: 0.6591 0.2394 0.8614
F: 0.7606 0.1386 0.3409
F: 0.1386 0.3409 0.7606



Entry from Materials Project: crystalline Si3O at its relaxed geometry (PBE).

a b c (Å): 9.1590 9.1590 8.4128
angles (deg): 81.82 81.82 26.61
Sites, in units of the cell vectors:
Si: 0.2623 0.1334 0.5156
Si: 0.7377 0.8666 0.4844
Si: 0.4631 0.4360 0.1787
Si: 0.1155 0.1320 0.7880
Si: 0.8845 0.8680 0.2120
Si: 0.1320 0.1155 0.2880
Si: 0.8680 0.8845 0.7120
Si: 0.5640 0.5369 0.3213
Si: 0.5369 0.5640 0.8213
Si: 0.8666 0.7377 0.9844
Si: 0.4360 0.4631 0.6787
Si: 0.1334 0.2623 0.0156
O: 0.0000 0.5000 0.5000
O: 0.5000 0.5000 0.5000
O: 0.5000 0.5000 0.0000
O: 0.5000 0.0000 0.0000

Output
**Total moment**: 0.00 μB/cell



Entry from Materials Project: crystalline MnAlPd2 at its relaxed geometry (PBE).

a b c (Å): 2.9352 2.9352 6.9004
angles (deg): 90.00 90.00 90.00
Sites, in units of the cell vectors:
Mn: 0.0000 0.0000 0.5000
Al: 0.0000 0.0000 0.0000
Pd: 0.5000 0.5000 0.2339
Pd: 0.5000 0.5000 0.7661

Output
**Total moment**: 4.22 μB/cell



Entry from Materials Project: crystalline Ba5I2O12 at its relaxed geometry (PBE).

a b c (Å): 5.9814 10.7798 20.1167
angles (deg): 90.00 90.00 90.00
Sites, in units of the cell vectors:
Ba: 0.2500 0.4124 0.5479
Ba: 0.2500 0.0876 0.0479
Ba: 0.7500 0.5876 0.4521
Ba: 0.7500 0.9124 0.9521
Ba: 0.2500 0.1176 0.6418
Ba: 0.2500 0.3824 0.1418
Ba: 0.7500 0.8824 0.3582
Ba: 0.7500 0.6176 0.8582
Ba: 0.2500 0.7619 0.6979
Ba: 0.2500 0.7381 0.1979
Ba: 0.7500 0.2381 0.3021
Ba: 0.7500 0.2619 0.8021
Ba: 0.2500 0.0216 0.8419
Ba: 0.2500 0.4784 0.3419
Ba: 0.7500 0.9784 0.1581
Ba: 0.7500 0.5216 0.6581
Ba: 0.2500 0.4064 0.9294
Ba: 0.2500 0.0936 0.4294
Ba: 0.7500 0.5936 0.0706
Ba: 0.7500 0.9064 0.5706
I: 0.2500 0.7506 0.5113
I: 0.2500 0.7494 0.0113
I: 0.7500 0.2494 0.4887
I: 0.7500 0.2506 0.9887
I: 0.2500 0.3970 0.7402
I: 0.2500 0.1030 0.2402
I: 0.7500 0.6030 0.2598
I: 0.7500 0.8970 0.7598
O: 0.5215 0.1697 0.5396
O: 0.9785 0.3303 0.0396
O: 0.0215 0.8303 0.4604
O: 0.4785 0.6697 0.9604
O: 0.4785 0.8303 0.4604
O: 0.0215 0.6697 0.9604
O: 0.9785 0.1697 0.5396
O: 0.5215 0.3303 0.0396
O: 0.0228 0.3160 0.6897
O: 0.4772 0.1840 0.1897
O: 0.5228 0.6840 0.3103
O: 0.9772 0.8160 0.8103
O: 0.9772 0.6840 0.3103
O: 0.5228 0.8160 0.8103
O: 0.4772 0.3160 0.6897
O: 0.0228 0.1840 0.1897
O: 0.0229 0.4784 0.7903
O: 0.4771 0.0216 0.2903
O: 0.5229 0.5216 0.2097
O: 0.9771 0.9784 0.7097
O: 0.9771 0.5216 0.2097
O: 0.5229 0.9784 0.7097
O: 0.4771 0.4784 0.7903
O: 0.0229 0.0216 0.2903
O: 0.5180 0.1726 0.9375
O: 0.9820 0.3274 0.4375
O: 0.0180 0.8274 0.0625
O: 0.4820 0.6726 0.5625
O: 0.4820 0.8274 0.0625
O: 0.0180 0.6726 0.5625
O: 0.9820 0.1726 0.9375
O: 0.5180 0.3274 0.4375
O: 0.2500 0.8889 0.5723
O: 0.2500 0.6111 0.0723
O: 0.7500 0.1111 0.4277
O: 0.7500 0.3889 0.9277
O: 0.2500 0.2634 0.8036
O: 0.2500 0.2366 0.3036
O: 0.7500 0.7366 0.1964
O: 0.7500 0.7634 0.6964
O: 0.2500 0.8957 0.9553
O: 0.2500 0.6043 0.4553
O: 0.7500 0.1043 0.0447
O: 0.7500 0.3957 0.5447
O: 0.2500 0.9754 0.1748
O: 0.2500 0.5246 0.6748
O: 0.7500 0.0246 0.8252
O: 0.7500 0.4754 0.3252

Output
**Total moment**: 0.00 μB/cell



Entry from Materials Project: crystalline KPrO2 at its relaxed geometry (PBE).

a b c (Å): 3.6795 3.6795 6.6739
angles (deg): 74.00 74.00 60.00
Sites, in units of the cell vectors:
K: 0.0000 0.0000 0.0000
Pr: 0.5000 0.5000 0.5000
O: 0.7692 0.7692 0.6923
O: 0.2308 0.2308 0.3077



| no. | total DFT energy (no corrections) (hartree per atom) | V (Å³ per cell) |
| --- | --- | --- |
| 1 | -0.216 | 1048.45 |
| 2 | -0.097 | 481.67 |
| 3 | -0.315 | 147.72 |
| 4 | -0.125 | 211.83 |
| 5 | -0.317 | 220.81 |
| 6 | -0.175 | 100.81 |
| 7 | -0.086 | 146.49 |
| 8 | -0.240 | 686.01 |
| 9 | -0.048 | 231.04 |
| 10 | -0.173 | 113.06 |
| 11 | -0.217 | 312.71 |
| 12 | -0.235 | 59.45 |
| 13 | -0.208 | 1297.09 |
| 14 | -0.240 | 74.18 |